# r2SCAN HoSi3Rh5, relaxed
data_HoSi3Rh5
_symmetry_space_group_name_H-M 'P 63/m'
_symmetry_Int_Tables_number 176
_symmetry_space_group_name_Hall '-P 6c'
_cell_length_a 15.4816
_cell_length_b 15.4816
_cell_length_c 3.8554
_cell_angle_alpha 90.00
_cell_angle_beta 90.00
_cell_angle_gamma 120.00
loop_
_atom_site_label
_atom_site_type_symbol
_atom_site_fract_x
_atom_site_fract_y
_atom_site_fract_z
Ho1 Ho 0.1003 0.7057 0.2500
Si1 Si 0.0615 0.4318 0.2500
Si2 Si 0.1190 0.8689 0.7500
Si3 Si 0.2397 0.6812 0.7500
Rh1 Rh 0.0278 0.8878 0.2500
Rh2 Rh 0.0446 0.2704 0.2500
Rh3 Rh 0.0751 0.5384 0.7500
Rh4 Rh 0.1533 0.4140 0.7500
Rh5 Rh 0.2233 0.5706 0.2500
# Energy of formation in eV per atom: -1.031
# Volume in Å³/cell: 800.26
# E_tot in eV/atom: -21.02

***

# r2SCAN HoSiRh, relaxed
data_HoSiRh
_symmetry_space_group_name_H-M 'P n m a'
_symmetry_Int_Tables_number 62
_symmetry_space_group_name_Hall '-P 2ac 2n'
_cell_length_a 6.850
_cell_length_b 4.220
_cell_length_c 7.342
_cell_angle_alpha 90.00
_cell_angle_beta 90.00
_cell_angle_gamma 90.00
loop_
_atom_site_label
_atom_site_type_symbol
_atom_site_fract_x
_atom_site_fract_y
_atom_site_fract_z
Ho1 Ho 0.002 0.250 0.190
Si1 Si 0.204 0.250 0.605
Rh1 Rh 0.153 0.750 0.432
# Energy of formation in eV per atom: -1.135
# Volume in Å³/cell: 212.25
# E_tot in eV/atom: -23.07